1.
Material: CaB3H5O8
Method: DFT, PBE
State: optimized geometry

Cell and atoms, written as extended XYZ:
```
68
Lattice="-6.1890 5.0541 8.0051 -0.4199 -5.3220 3.0355 6.7022 -0.7906 5.6808" Properties=species:S:1:pos:R:3 pbc="T T T"
O -2.9910 1.9202 8.5421
O 2.2510 -1.5308 3.8862
H 5.1359 -0.6778 4.5420
B 2.6330 -2.7961 4.6038
B -0.0671 -0.2817 8.9193
O 1.1334 -3.7369 6.9394
H 1.5910 -2.3267 11.9900
H -1.0587 1.1681 6.9067
B 2.2899 -3.0140 7.1071
O -2.7149 -2.3648 7.7242
O -4.4210 3.0927 6.9689
O 0.9037 0.8087 9.0756
Ca 4.5579 -1.0416 7.4704
O -5.4389 0.8797 9.9827
Ca -1.0593 -0.4597 12.0607
O -2.3523 1.6430 12.0230
Ca -3.9176 -0.4637 8.5434
O 0.0232 -1.3088 10.0142
H -3.8255 -0.2146 11.8415
O 3.0214 -2.9274 8.2606
H 2.4565 0.1222 9.3846
O 1.0683 -2.2603 12.8392
Ca 0.6850 -0.2170 5.2655
O -3.3543 -0.9786 11.4149
O 4.2402 -3.9274 10.1069
O 2.3596 0.8085 6.7137
B 2.8799 -3.3947 9.6650
H -0.0645 -0.8888 16.2050
B 1.0929 1.6186 12.5066
B 0.5137 -3.7978 5.5413
O 3.3964 -0.1942 9.5012
B 3.4939 -1.1550 10.6381
H 0.9736 -1.6064 10.1426
B -1.7618 1.6003 9.0518
H 1.8446 0.8498 7.5627
H -0.2637 -1.7126 7.4480
O 0.3894 1.4978 11.3307
O -4.8641 3.1989 9.3585
O 0.5452 0.9182 13.5679
O -0.5559 1.6604 6.2273
O 0.1090 0.3165 2.4801
B -5.8887 2.1283 9.3015
O 5.7887 -3.1552 7.6014
O -0.2881 -2.5630 5.3802
H -3.3745 1.2554 6.2238
H -2.0592 -2.8172 8.3204
H -2.7143 2.1755 4.2311
H 3.4920 -0.5314 3.3853
B 0.5469 1.9494 9.9290
H -5.1263 1.0756 10.9106
O 2.5152 -2.2631 10.5217
H 3.8807 -4.4551 6.2852
O 2.8770 -2.3629 6.0238
H 1.9158 -1.7356 2.9621
H 0.5895 -0.4363 2.0317
O -0.8144 2.4940 9.4900
H 5.2960 -3.8069 8.1328
H -1.6379 2.2830 11.8535
H -0.5753 -2.8328 9.6842
O 0.2046 -0.8716 7.5969
O 1.5893 -3.8269 4.5419
O -3.4792 0.2868 6.2534
O -2.2246 -0.3722 14.2110
B -1.5401 -2.2357 4.9139
O -1.4767 0.2369 9.0069
O -1.7999 -0.8759 4.8970
O 5.6396 -1.0060 5.3349
B -3.7935 3.1584 8.3588
```

Values from the calculation:
Polymorph energy (0 for the lowest one), meV per atom: 0
SG: No. 4

---

2.
Material: Si6BiO14
Method: DFT, PBE
State: optimized geometry

Cell and atoms, written as extended XYZ:
```
84
Lattice="-9.2521 3.1435 8.8221 5.3714 11.1962 4.3710 -5.9271 -6.1526 -10.0164" Properties=species:S:1:pos:R:3 pbc="T T T"
Si -4.6004 -4.3848 -7.1042
Bi 1.9617 6.7430 0.7281
O -7.3829 6.8009 3.3683
O -6.3352 -0.9983 -2.7147
O -2.5586 1.6802 2.4388
O -6.5578 1.8032 1.4566
O -5.2342 -1.3408 -5.0999
O -3.8842 3.3687 1.0624
O -9.1081 1.7356 5.3295
O -7.4454 10.4414 7.2878
O -8.7955 2.2696 0.0111
O 0.1684 11.7265 8.1305
Bi -11.7695 1.4441 2.4486
Si -7.6924 2.5080 5.5896
Si -4.0845 8.4236 4.6031
O -2.4249 1.3861 -0.1915
Si -10.3128 -0.8142 -2.1484
O 1.6902 6.1035 2.9571
O 0.3028 7.4329 4.9422
Si 0.4230 3.5648 0.6319
O -4.6701 -3.0233 -8.0302
O -7.4842 6.2688 5.9452
Bi -4.4577 5.4704 0.2231
Si -5.7233 -0.2366 -1.4263
Si -7.0721 7.3827 4.8558
Si -7.1710 2.1000 -0.0097
O -1.1699 3.4472 0.9743
O -2.9703 7.3294 4.1839
O -1.7987 4.4335 -3.4115
O -11.4980 2.0835 0.2197
O -1.8988 -0.5581 -1.9803
O -2.3236 1.9183 -2.7684
O -10.6489 3.1480 3.0608
O -8.0092 3.7536 6.5883
Si -10.1875 2.0621 -0.7945
Si 0.3797 6.1249 3.9713
O -1.2964 2.5775 -5.1191
O -0.6997 6.4514 -2.1527
O -10.0080 0.3114 2.0632
Bi -5.3501 2.7166 2.9537
O -4.3229 0.4953 -1.8099
O -7.2492 6.5068 0.7380
Si -2.4794 2.4913 1.0064
Si -2.7357 0.8044 -1.6790
O -6.5357 3.4687 -0.6749
O -1.0123 5.9174 3.1656
O -5.9236 4.8184 2.1144
O -8.6380 4.7398 2.2025
Si 0.5050 9.0013 5.3252
O -9.9762 -3.5395 -4.9537
O -3.2500 6.3839 1.7201
Si -6.0343 -2.1003 -3.8742
O -8.5114 5.6096 8.2959
O -3.2721 4.7184 3.8517
Si -2.3378 3.0114 -3.9608
O -2.3624 -2.2543 -4.1110
O -6.8375 0.8577 -1.0071
O -5.1377 11.2104 11.2070
O -3.8362 3.1686 -4.5724
O -0.2233 9.3771 6.7309
Si -10.2308 4.6223 2.5449
O -7.0244 3.0587 4.2240
Si -7.4700 5.1756 7.1376
O -3.4726 9.1853 5.8915
O -5.4849 7.6918 4.9866
O 0.8411 5.0390 0.1160
O -2.7834 5.1283 -1.0472
O -9.6780 -1.7206 -0.9766
Si -2.6368 6.0871 3.1865
O -2.3262 10.7725 7.6325
O -5.9716 5.0184 7.7492
Si -3.7735 10.2873 7.0510
O 0.2002 7.8756 1.1136
Si -5.2074 12.5718 10.2809
Si -2.1154 5.6791 -2.4128
O -7.4816 -2.5854 -4.4557
O -10.1107 0.7542 -1.7654
O -7.9091 8.7451 5.1571
Si -7.3284 5.6958 2.1704
O -4.5736 9.5279 8.2766
O -9.5845 -1.1900 -3.5541
O -0.1298 9.9077 4.1534
Si -0.7730 10.3840 7.8898
Si -9.0348 -2.1970 -4.7131
```

Values from the calculation:
SG: No. 72
Raw total energy, eV/atom: -7.5281

---

Q: Which formula does entry 1 have?
A: CaB3H5O8

---

Q: What is the formula in the first record?
A: CaB3H5O8